(1)
{
  "formula": "Li6V3P8O29",
  "functional": "PBE with a Hubbard U",
  "state": "optimized geometry",
  "cell": [[9.8082, 0.0000, 0.0000], [-4.8977, -8.5199, 0.0000], [-0.1632, 0.0486, -14.0142]],
  "species": ["O", "P", "O", "P", "Li", "O", "O", "O", "O", "O", "Li", "O", "V", "V", "O", "Li", "O", "O", "O", "Li", "O", "O", "O", "O", "Li", "V", "O", "P", "O", "P", "O", "O", "O", "O", "O", "Li", "P", "P", "O", "O", "O", "P", "P", "O", "P", "O", "O", "Li", "Li", "O", "O", "P", "O", "P", "P", "O", "P", "Li", "Li", "O", "O", "O", "O", "O", "O", "O", "O", "O", "V", "O", "O", "O", "O", "O", "O", "O", "P", "O", "V", "O", "O", "Li", "P", "O", "V", "Li", "O", "O", "P", "O", "O", "O"],
  "frac_coords": [[0.7558, 0.0019, 0.0673], [0.6902, 0.9154, 0.3419], [0.6682, 0.9218, 0.8413], [0.9076, 0.6816, 0.1584], [0.6732, 0.9072, 0.5540], [0.3309, 0.0804, 0.1609], [0.7722, 0.7596, 0.9234], [0.6792, 0.3447, 0.4780], [0.7929, 0.9997, 0.2486], [0.0011, 0.2119, 0.7524], [0.0850, 0.3134, 0.0659], [0.6611, 0.1822, 0.8235], [0.5628, 0.0005, 0.7474], [0.4365, 0.4364, 0.7504], [0.3386, 0.6661, 0.5220], [0.7790, 0.0807, 0.9439], [0.9161, 0.6663, 0.6589], [0.1802, 0.5106, 0.1658], [0.3312, 0.6596, 0.0228], [0.7667, 0.6654, 0.4346], [0.4790, 0.3761, 0.1769], [0.0838, 0.3422, 0.3370], [0.3730, 0.8842, 0.8257], [0.0074, 0.7869, 0.4289], [0.3143, 0.2215, 0.9458], [0.5649, 0.5662, 0.2491], [0.4588, 0.0787, 0.6652], [0.3174, 0.2305, 0.1609], [0.9128, 0.2520, 0.1597], [0.9153, 0.2298, 0.6581], [0.2132, 0.0077, 0.7589], [0.7432, 0.6587, 0.1589], [0.1177, 0.4894, 0.8242], [0.5166, 0.3351, 0.8274], [0.6166, 0.5269, 0.6694], [0.0524, 0.0104, 0.4820], [0.3037, 0.0830, 0.6586], [0.2266, 0.3137, 0.3430], [0.2576, 0.9147, 0.3360], [0.0796, 0.7446, 0.8405], [0.2543, 0.3338, 0.8462], [0.0888, 0.7736, 0.3401], [0.3288, 0.6642, 0.1303], [0.2384, 0.2414, 0.0704], [0.6868, 0.7742, 0.8400], [0.9123, 0.3849, 0.6739], [0.5173, 0.6292, 0.8252], [0.9006, 0.2381, 0.4350], [0.2401, 0.3315, 0.5568], [0.2045, 0.2075, 0.2500], [0.6151, 0.0941, 0.1782], [0.6676, 0.3336, 0.8701], [0.3249, 0.5129, 0.6713], [0.6687, 0.3361, 0.3715], [0.7682, 0.6851, 0.6547], [0.2462, 0.9944, 0.9362], [0.2306, 0.9093, 0.8443], [0.9080, 0.6815, 0.9455], [0.2263, 0.9061, 0.0684], [0.0870, 0.6185, 0.3327], [0.4739, 0.6615, 0.1777], [0.8108, 0.3228, 0.3307], [0.3831, 0.4667, 0.3360], [0.0051, 0.2365, 0.5699], [0.6778, 0.4918, 0.3300], [0.0011, 0.7562, 0.0699], [0.1953, 0.9887, 0.5784], [0.6600, 0.3230, 0.9757], [0.0003, 0.5682, 0.7471], [0.9977, 0.2479, 0.9318], [0.7841, 0.0051, 0.4300], [0.7859, 0.7966, 0.7432], [0.8151, 0.4812, 0.8309], [0.5330, 0.9117, 0.3319], [0.1882, 0.6776, 0.6653], [0.2078, 0.2205, 0.4325], [0.3339, 0.6668, 0.6282], [0.3320, 0.2516, 0.6593], [0.4348, 0.0050, 0.2544], [0.9021, 0.5227, 0.1773], [0.7670, 0.7669, 0.5636], [0.3451, 0.6685, 0.8902], [0.0919, 0.3230, 0.8439], [0.0000, 0.7940, 0.2487], [0.9956, 0.4319, 0.2489], [0.0990, 0.7652, 0.5563], [0.7483, 0.0863, 0.6565], [0.4886, 0.8127, 0.6709], [0.7655, 0.0850, 0.1576], [0.3272, 0.8134, 0.1664], [0.6693, 0.7497, 0.3422], [0.5165, 0.1958, 0.3282]],
  "e_above_lowest_polymorph_mev_per_atom": 5,
  "energy_mp2020_ev_per_cell": -695.507,
  "energy_ev_per_atom": -7.02,
  "formation_energy_ev_per_atom": -2.658
}

=====

(2)
{
  "formula": "Fe4CoBi5O15",
  "functional": "PBE with a Hubbard U",
  "state": "optimized geometry",
  "cell": [[-1.1298, -1.7599, -5.1995], [-2.2172, -7.5041, 5.9919], [-9.8098, 7.3353, 2.6283]],
  "species": ["O", "Bi", "Bi", "Bi", "O", "O", "O", "O", "O", "O", "O", "O", "Fe", "O", "O", "O", "O", "Fe", "Bi", "O", "Fe", "O", "O", "Co", "O", "Fe", "Bi", "Fe", "Bi", "O", "O", "Bi", "O", "O", "Fe", "O", "Bi", "O", "Bi", "Co", "O", "O", "O", "Fe", "Fe", "O", "O", "O", "Bi", "O"],
  "frac_coords": [[0.3922, 0.6764, 0.7158], [0.8013, 0.1996, 0.3994], [0.9007, 0.0992, 0.7000], [0.7087, 0.3029, 0.1040], [0.9346, 0.1493, 0.1585], [0.8740, 0.6455, 0.6549], [0.6991, 0.9772, 0.8177], [0.3173, 0.7410, 0.3588], [0.4614, 0.0646, 0.0009], [0.3083, 0.3658, 0.1004], [0.2964, 0.3764, 0.6164], [0.8907, 0.7682, 0.4144], [0.6628, 0.8862, 0.4425], [0.7945, 0.2776, 0.9199], [0.1275, 0.9456, 0.7578], [0.9026, 0.7647, 0.8987], [0.7266, 0.3448, 0.5555], [0.7633, 0.7876, 0.7440], [0.2991, 0.7018, 0.9030], [0.5097, 0.1669, 0.6983], [0.0636, 0.4891, 0.6426], [0.8611, 0.6616, 0.2013], [0.6560, 0.8657, 0.5968], [0.5681, 0.9958, 0.1449], [0.0980, 0.5763, 0.0193], [0.4660, 0.0879, 0.8453], [0.0016, 0.0006, 0.0041], [0.3674, 0.1892, 0.5437], [0.4996, 0.5025, 0.4968], [0.0805, 0.4510, 0.2609], [0.4781, 0.0443, 0.4549], [0.0949, 0.9001, 0.2969], [0.4980, 0.1701, 0.2174], [0.7041, 0.9624, 0.2942], [0.8662, 0.6885, 0.0464], [0.5260, 0.5466, 0.9586], [0.5994, 0.4000, 0.7994], [0.1059, 0.5676, 0.4928], [0.1973, 0.7976, 0.5961], [0.9715, 0.5993, 0.3427], [0.2770, 0.2456, 0.8577], [0.1878, 0.8744, 0.1177], [0.6737, 0.8473, 0.0620], [0.1651, 0.3886, 0.9454], [0.2710, 0.2904, 0.2448], [0.9969, 0.0721, 0.5152], [0.2605, 0.2664, 0.3974], [0.0549, 0.4676, 0.7982], [0.4013, 0.6010, 0.2032], [0.6096, 0.4774, 0.3184]],
  "e_above_lowest_polymorph_mev_per_atom": 4,
  "energy_mp2020_ev_per_cell": -348.662,
  "energy_ev_per_atom": -6.13,
  "formation_energy_ev_per_atom": -1.587
}

=====

(3)
{
  "formula": "Ca8TiMn7O20",
  "functional": "PBE with a Hubbard U",
  "state": "optimized geometry",
  "cell": [[11.0344, -0.0452, -0.2097], [-0.0583, 15.4534, -0.0168], [-0.2060, -0.0062, 11.1861]],
  "species": ["Mn", "Ca", "Ca", "O", "Ca", "Ca", "O", "O", "Ca", "O", "O", "O", "O", "Ca", "O", "Ca", "Ca", "O", "Ca", "Mn", "Ti", "Ca", "Mn", "O", "O", "Mn", "O", "Ti", "O", "Ca", "O", "O", "Mn", "O", "O", "Mn", "Mn", "Ca", "O", "Mn", "Mn", "Mn", "O", "O", "O", "O", "O", "O", "O", "Mn", "O", "O", "Mn", "O", "O", "Ca", "O", "O", "Ca", "Ca", "O", "Ca", "O", "O", "O", "Ca", "O", "O", "O", "O", "Mn", "Ca", "Mn", "Mn", "O", "O", "Ca", "Mn", "Ca", "O", "Mn", "O", "Ca", "O", "O", "O", "Mn", "Ca", "O", "O", "Ti", "Ca", "Ca", "Mn", "Ca", "O", "O", "O", "Mn", "O", "Ca", "Ca", "O", "Mn", "O", "Mn", "Mn", "O", "O", "O", "Ca", "O", "Ca", "O", "O", "O", "O", "O", "O", "O", "Ti", "O", "Mn", "O", "Mn", "O", "O", "O", "Mn", "O", "Ca", "O", "Mn", "O", "O", "O", "O", "Mn", "O", "O", "Ca", "O", "Ca", "O"],
  "frac_coords": [[0.5058, 0.4887, 0.7330], [0.7834, 0.6233, 0.7551], [0.2263, 0.1258, 0.2391], [0.8937, 0.0139, 0.4005], [0.5169, 0.3731, 0.4822], [0.9569, 0.8792, 0.0073], [0.1723, 0.2568, 0.8034], [0.4632, 0.8732, 0.7836], [0.2389, 0.3986, 0.7565], [0.3988, 0.6812, 0.3535], [0.9069, 0.7352, 0.4227], [0.6560, 0.2264, 0.8561], [0.0016, 0.6298, 0.7285], [0.2253, 0.6195, 0.2495], [0.7536, 0.1257, 0.5416], [0.2372, 0.8940, 0.7502], [0.7440, 0.8700, 0.2534], [0.8388, 0.9804, 0.6436], [0.7472, 0.8692, 0.7538], [0.7581, 0.7478, 0.0036], [0.9945, 0.2530, 0.2788], [0.2439, 0.8850, 0.2797], [0.7440, 0.5023, 0.5001], [0.8477, 0.4844, 0.1421], [0.6007, 0.9909, 0.0830], [0.2709, 0.2466, 0.4571], [0.4607, 0.8721, 0.2750], [0.2627, 0.2459, 0.9467], [0.0952, 0.9774, 0.6227], [0.5427, 0.1304, 0.4766], [0.1605, 0.5069, 0.8695], [0.7573, 0.1226, 0.0405], [0.9978, 0.4972, 0.7602], [0.0992, 0.4741, 0.6251], [0.1966, 0.0121, 0.8781], [0.2720, 0.7413, 0.4636], [0.7445, 0.5011, 0.9988], [0.7652, 0.3779, 0.7646], [0.3470, 0.0129, 0.6561], [0.5076, 0.7453, 0.2453], [0.7555, 0.7480, 0.5037], [0.9931, 0.2539, 0.7654], [0.8878, 0.5182, 0.3972], [0.7409, 0.8762, 0.4634], [0.6349, 0.5215, 0.8427], [0.9940, 0.3742, 0.8007], [0.5915, 0.4978, 0.0832], [0.6336, 0.5241, 0.3485], [0.0023, 0.1279, 0.7302], [0.2364, 0.5098, 0.0235], [0.8648, 0.9793, 0.1570], [0.6390, 0.0238, 0.3475], [0.5026, 0.9958, 0.2286], [0.1576, 0.5056, 0.3671], [0.8592, 0.7737, 0.1526], [0.5180, 0.3721, 0.9963], [0.2115, 0.1339, 0.5313], [0.9787, 0.3762, 0.3008], [0.5264, 0.8718, 0.9844], [0.2259, 0.6183, 0.7413], [0.9994, 0.6273, 0.2273], [0.7573, 0.3760, 0.2557], [0.8893, 0.5137, 0.8945], [0.6630, 0.2259, 0.3513], [0.5576, 0.2528, 0.5922], [0.9538, 0.8805, 0.5151], [0.1627, 0.2602, 0.2969], [0.3904, 0.1879, 0.8741], [0.0024, 0.1240, 0.2338], [0.2957, 0.8767, 0.4903], [0.7537, 0.2490, 0.5050], [0.5492, 0.6283, 0.9768], [0.5077, 0.7462, 0.7467], [0.7405, 0.0020, 0.4987], [0.4736, 0.3724, 0.2736], [0.6249, 0.0220, 0.8347], [0.9873, 0.6145, 0.0185], [0.5026, 0.9872, 0.7236], [0.5462, 0.1219, 0.9817], [0.3508, 0.5108, 0.6625], [0.2736, 0.7383, 0.9516], [0.2993, 0.3782, 0.4863], [0.7764, 0.1223, 0.7527], [0.1100, 0.9640, 0.1173], [0.0083, 0.8776, 0.8055], [0.2123, 0.6307, 0.5359], [0.9916, 0.9965, 0.7588], [0.9824, 0.1226, 0.0224], [0.7527, 0.6250, 0.5427], [0.4581, 0.3782, 0.7964], [0.2436, 0.9749, 0.0260], [0.7801, 0.6223, 0.2551], [0.5456, 0.6288, 0.4798], [0.7543, 0.2470, 0.0038], [0.7738, 0.1184, 0.2521], [0.9101, 0.7370, 0.9212], [0.3466, 0.5130, 0.1622], [0.1664, 0.7523, 0.3084], [0.2426, 0.0034, 0.5129], [0.5929, 0.7555, 0.0920], [0.9581, 0.3868, 0.5111], [0.5175, 0.8710, 0.4757], [0.9033, 0.2382, 0.9193], [0.5139, 0.2479, 0.2473], [0.1623, 0.0090, 0.3570], [0.5053, 0.4950, 0.2331], [0.2443, 0.5016, 0.5162], [0.3046, 0.8654, 0.0064], [0.5899, 0.4947, 0.5849], [0.2058, 0.6364, 0.0402], [0.2463, 0.3944, 0.2599], [0.7415, 0.3728, 0.9732], [0.2240, 0.1171, 0.7364], [0.8655, 0.2658, 0.1542], [0.3979, 0.1864, 0.3455], [0.8964, 0.0170, 0.8997], [0.8551, 0.2730, 0.6534], [0.9341, 0.2338, 0.4235], [0.7419, 0.3747, 0.4653], [0.1748, 0.7562, 0.7933], [0.9928, 0.9923, 0.2687], [0.5881, 0.7575, 0.5912], [0.5042, 0.2524, 0.7562], [0.8497, 0.4835, 0.6431], [0.9954, 0.4966, 0.2616], [0.8595, 0.7745, 0.6521], [0.4008, 0.6757, 0.8493], [0.1816, 0.1774, 0.0446], [0.9971, 0.7516, 0.2688], [0.0975, 0.4695, 0.1257], [0.9604, 0.3838, 0.0095], [0.3529, 0.0338, 0.1277], [0.0015, 0.7550, 0.7661], [0.6598, 0.7292, 0.8535], [0.2984, 0.3548, 0.0044], [0.7462, 0.8751, 0.9635], [0.7577, 0.6266, 0.0381], [0.7494, 0.0002, 0.9953], [0.5845, 0.9950, 0.5754], [0.0024, 0.8743, 0.3063], [0.9938, 0.6141, 0.5188], [0.6582, 0.7288, 0.3532], [0.9954, 0.1107, 0.5236], [0.5934, 0.2514, 0.0934]],
  "e_above_lowest_polymorph_mev_per_atom": 0,
  "energy_mp2020_ev_per_cell": -1132.952,
  "energy_ev_per_atom": -7.16,
  "formation_energy_ev_per_atom": -2.672
}

=====

(4)
{
  "formula": "MnPb2WO6",
  "functional": "PBE with a Hubbard U",
  "state": "optimized geometry",
  "cell": [[5.9274, 0.0000, 0.0000], [0.0000, 8.1693, 0.0000], [0.0000, 0.0000, 11.8294]],
  "species": ["Pb", "O", "W", "O", "O", "Pb", "O", "Mn", "W", "Pb", "O", "O", "Mn", "O", "O", "O", "Pb", "O", "O", "O", "O", "O", "O", "Pb", "Pb", "Mn", "Pb", "Mn", "O", "O", "O", "O", "O", "W", "W", "O", "Pb", "O", "O", "O"],
  "frac_coords": [[0.7016, 0.5061, 0.1471], [0.9623, 0.7500, 0.7301], [0.7520, 0.2500, 0.8810], [0.9895, 0.2500, 0.9817], [0.7832, 0.4877, 0.3611], [0.7984, 0.9939, 0.6471], [0.5536, 0.2500, 0.2464], [0.2623, 0.2500, 0.6171], [0.7480, 0.2500, 0.3810], [0.2016, 0.4939, 0.3529], [0.5377, 0.7500, 0.2301], [0.5105, 0.2500, 0.4817], [0.7623, 0.7500, 0.8829], [0.7168, 0.4877, 0.8611], [0.5220, 0.2500, 0.9962], [0.4895, 0.7500, 0.5183], [0.2984, 0.0061, 0.8529], [0.7832, 0.0123, 0.3611], [0.4623, 0.2500, 0.7699], [0.4464, 0.7500, 0.7536], [0.0220, 0.7500, 0.5038], [0.0377, 0.2500, 0.2699], [0.0105, 0.7500, 0.0183], [0.2984, 0.4939, 0.8529], [0.7016, 0.9939, 0.1471], [0.7377, 0.7500, 0.3829], [0.2016, 0.0061, 0.3529], [0.2377, 0.2500, 0.1171], [0.2168, 0.5123, 0.6389], [0.2168, 0.9877, 0.6389], [0.2832, 0.5123, 0.1389], [0.2832, 0.9877, 0.1389], [0.9780, 0.2500, 0.4962], [0.2520, 0.7500, 0.6190], [0.2480, 0.7500, 0.1190], [0.0536, 0.7500, 0.2536], [0.7984, 0.5061, 0.6471], [0.4780, 0.7500, 0.0038], [0.9464, 0.2500, 0.7464], [0.7168, 0.0123, 0.8611]],
  "energy_mp2020_ev_per_cell": -313.948,
  "energy_ev_per_atom": -6.83,
  "formation_energy_ev_per_atom": -1.925
}

=====

(5)
{
  "formula": "SmFe2O4",
  "functional": "PBE with a Hubbard U",
  "state": "optimized geometry",
  "cell": [[-5.5029, -3.1547, 5.8889], [-6.1008, -5.3230, 3.0593], [-3.3345, -5.9841, 5.2901]],
  "species": ["Sm", "O", "O", "Fe", "O", "O", "Fe"],
  "frac_coords": [[0.9998, 0.9998, 0.9998], [0.8649, 0.8649, 0.8649], [0.2923, 0.2923, 0.2923], [0.7867, 0.7867, 0.7867], [0.7101, 0.7101, 0.7101], [0.1217, 0.1217, 0.1217], [0.2113, 0.2113, 0.2113]],
  "e_above_lowest_polymorph_mev_per_atom": 85,
  "energy_mp2020_ev_per_cell": -57.318,
  "energy_ev_per_atom": -7.15,
  "formation_energy_ev_per_atom": -2.267
}